Entry 1:
Below is a geometry-optimized SrGe4O9 structure, with properties calculated at the r²SCAN level.

Summary:
Magnetic moment (Bohr magnetons per cell): 0.00
SG: P321
E_form (eV per atom): -2.084
Calculated density (g cm⁻³): 4.9

Geometry as extended XYZ:
```
42
Lattice="11.3814 0.0000 0.0000 -5.6907 9.8566 0.0000 0.0000 0.0000 4.7770" Properties=species:S:1:pos:R:3 pbc="T T T"
Sr -1.8627 3.2262 0.0000
Sr 3.7253 0.0000 0.0000
Sr 3.8280 6.6303 0.0000
Ge 0.0000 0.0000 0.0000
Ge -4.6697 8.0881 2.3885
Ge -2.0422 6.4965 2.8692
Ge 1.0210 1.7684 2.3885
Ge 0.0000 6.5710 0.5117
Ge 1.0856 4.8397 2.8692
Ge 3.6485 3.3600 1.9078
Ge 0.9566 8.3769 2.8692
Ge 6.6473 1.4796 1.9078
Ge 5.6907 3.2855 4.2653
Ge 9.3394 0.0000 2.3885
Ge 6.7763 5.0169 1.9078
O -2.9075 5.0360 2.3885
O -0.1912 1.5228 1.1324
O -4.2763 9.2607 1.1324
O -3.2139 7.7391 3.3734
O 1.4144 0.5958 3.6445
O -1.2338 5.6877 4.1930
O 0.5954 3.2037 3.3734
O -0.0627 5.0303 1.5659
O -1.3030 7.3958 1.5659
O 2.4768 2.1174 1.4036
O -0.1481 8.0812 4.1930
O 1.3819 5.9442 4.1930
O 2.7832 4.8206 2.3885
O 1.3657 7.2871 1.5659
O 4.3877 2.4608 3.2111
O 5.8150 0.0000 2.3885
O 5.5426 1.7754 0.5840
O 4.4569 4.1689 0.5840
O 2.6185 8.7703 3.3734
O 5.6280 4.8263 3.2111
O 7.0564 2.5695 3.2111
O 8.3092 1.0863 1.4036
O 7.0726 3.9123 0.5840
O 4.4675 8.9296 1.1324
O 6.2860 6.6529 1.4036
O 5.4995 8.3338 3.6445
O 10.1582 0.9269 3.6445
```

Entry 2:
Below is a geometry-optimized Li3Ni5O8 structure, with properties calculated at the r²SCAN level.

Summary:
Magnetic moment (Bohr magnetons per cell): 2.94
SG: P-1
E_form (eV per atom): -1.482
Calculated density (g cm⁻³): 5.4

Geometry as extended XYZ:
```
16
Lattice="5.7532 0.0000 0.0000 -2.8696 5.0039 0.0000 -0.0239 -3.3085 4.7266" Properties=species:S:1:pos:R:3 pbc="T T T"
Li 0.0000 0.0000 0.0000
Li -0.0119 -1.6542 2.3633
Li -1.4348 2.5019 0.0000
Ni -1.4467 0.8477 2.3633
Ni 2.8766 0.0000 0.0000
Ni 2.8646 -1.6542 2.3633
Ni 1.4418 2.5019 0.0000
Ni 1.4299 0.8477 2.3633
O 0.0896 1.5814 1.2325
O 0.0833 0.0919 3.4756
O 1.5316 -2.4228 3.4678
O 1.5294 -0.7531 1.3207
O 1.3304 2.4484 3.4059
O 1.3281 4.1182 1.2588
O 2.7765 1.6035 1.2510
O 2.7701 0.1139 3.4941
```

Entry 3:
Below is a geometry-optimized Ca6MnN5 structure, with properties calculated at the r²SCAN level.

Summary:
Magnetic moment (Bohr magnetons per cell): 4.00
SG: P6_3/mcm
E_form (eV per atom): -1.043
Calculated density (g cm⁻³): 3.0

Geometry as extended XYZ:
```
24
Lattice="6.2058 0.0000 0.0000 -3.1029 5.3744 0.0000 0.0000 0.0000 12.2952" Properties=species:S:1:pos:R:3 pbc="T T T"
Ca -1.2246 2.1211 1.4618
Ca -1.2246 2.1211 4.6858
Ca -1.8783 3.2533 7.6093
Ca -1.8783 3.2533 10.8334
Ca 2.4492 0.0000 1.4618
Ca 2.4492 0.0000 4.6858
Ca 1.2246 2.1211 7.6093
Ca 1.2246 2.1211 10.8334
Ca 3.7566 0.0000 7.6093
Ca 3.7566 0.0000 10.8334
Ca 1.8783 3.2533 1.4618
Ca 1.8783 3.2533 4.6858
Mn 0.0000 0.0000 3.0738
Mn 0.0000 0.0000 9.2214
N -0.8874 1.5370 9.2214
N -2.2155 3.8374 3.0738
N 1.7748 0.0000 9.2214
N 0.8874 1.5370 3.0738
N 0.0000 3.5829 0.0000
N 0.0000 3.5829 6.1476
N 3.1029 1.7915 0.0000
N 3.1029 1.7915 6.1476
N 4.4310 0.0000 3.0738
N 2.2155 3.8374 9.2214
```

Entry 4:
Below is a geometry-optimized YbCo2Ge2 structure, with properties calculated at the r²SCAN level.

Summary:
Magnetic moment (Bohr magnetons per cell): 0.00
SG: I4/mmm
E_form (eV per atom): -0.548
Calculated density (g cm⁻³): 9.6

Geometry as extended XYZ:
```
5
Lattice="-1.9422 1.9422 4.9949 1.9422 -1.9422 4.9949 1.9422 1.9422 -4.9949" Properties=species:S:1:pos:R:3 pbc="T T T"
Yb 0.0000 0.0000 0.0000
Co 1.9422 0.0000 2.4974
Co 0.0000 1.9422 2.4974
Ge 0.0000 0.0000 3.7327
Ge 0.0000 0.0000 6.2571
```

The lowest E_form belongs to which entry? SrGe4O9